Entry 1:
# YHoRu2

A relaxed YHoRu2 crystal (r2SCAN, Materials Project).

total DFT energy (no corrections): -26.362 eV/atom
energy of formation: -0.35 eV/atom
ρ: 9.8 g cm⁻³
crystal system: cubic

Cell lengths 6.758, 6.758, 6.758 Å; angles 90.00, 90.00, 90.00 degrees
Space group Fm-3m (No. 225)
Asymmetric unit:
1 Y 0.000 0.000 0.000
2 Ho 0.000 0.000 0.500
3 Ru 0.250 0.250 0.250

---

Entry 2:
# Ho2ZnRu

A relaxed Ho2ZnRu crystal (r2SCAN, Materials Project).

total DFT energy (no corrections): -25.448 eV/atom
energy of formation: -0.42 eV/atom
ρ: 10.2 g cm⁻³
crystal system: monoclinic

Cell lengths 8.407, 4.866, 4.853 Å; angles 90.00, 125.21, 90.00 degrees
Space group C2/m (No. 12)
Asymmetric unit:
1 Ho 0.250 0.000 0.250
2 Zn 0.000 0.000 0.500
3 Ru 0.000 0.500 0.000

---

Entry 3:
# HoZrRu2

A relaxed HoZrRu2 crystal (r2SCAN, Materials Project).

total DFT energy (no corrections): -27.205 eV/atom
energy of formation: -0.59 eV/atom
ρ: 10.5 g cm⁻³
crystal system: cubic

Cell lengths 6.616, 6.616, 6.616 Å; angles 90.00, 90.00, 90.00 degrees
Space group Fm-3m (No. 225)
Asymmetric unit:
1 Ho 0.000 0.000 0.000
2 Zr 0.000 0.000 0.500
3 Ru 0.250 0.250 0.250

---

Entry 4:
# HoS2

A relaxed HoS2 crystal (r2SCAN, Materials Project).

total DFT energy (no corrections): -18.209 eV/atom
energy of formation: -1.89 eV/atom
ρ: 6.5 g cm⁻³
crystal system: tetragonal

Cell lengths 3.837, 3.837, 7.902 Å; angles 90.00, 90.00, 90.00 degrees
Space group P4/nmm (No. 129, origin choice 2)
Asymmetric unit:
1 Ho 0.250 0.250 0.227
2 S 0.250 0.250 0.868
3 S 0.250 0.750 0.500

---

Entry 5:
# Ho5S7

A relaxed Ho5S7 crystal (r2SCAN, Materials Project).

total DFT energy (no corrections): -20.756 eV/atom
energy of formation: -2.37 eV/atom
ρ: 6.5 g cm⁻³
crystal system: monoclinic

Cell lengths 12.735, 3.777, 11.531 Å; angles 90.00, 104.62, 90.00 degrees
Space group C2/m (No. 12)
Asymmetric unit:
1 Ho 0.000 0.000 0.000
2 Ho 0.112 0.000 0.421
3 Ho 0.200 0.500 0.812
4 S 0.000 0.500 0.500
5 S 0.041 0.000 0.785
6 S 0.159 0.500 0.051
7 S 0.241 0.500 0.353

---

Entry 6:
# Ho3Sc2S7

A relaxed Ho3Sc2S7 crystal (r2SCAN, Materials Project).

total DFT energy (no corrections): -17.111 eV/atom
energy of formation: -2.30 eV/atom
ρ: 5.3 g cm⁻³
crystal system: monoclinic

Cell lengths 12.349, 3.716, 11.348 Å; angles 90.00, 104.33, 90.00 degrees
Space group Cm (No. 8)
Asymmetric unit:
1 Ho 0.000 0.000 0.000
2 Ho 0.088 0.500 0.386
3 Ho 0.189 0.000 0.761
4 Sc 0.277 0.500 0.156
5 Sc 0.388 0.500 0.573
6 S 0.042 0.500 0.624
7 S 0.135 0.500 0.933
8 S 0.153 0.000 0.222
9 S 0.234 0.000 0.525
10 S 0.353 0.500 0.784
11 S 0.385 0.000 0.082
12 S 0.422 0.500 0.361